[1]
The following is a DFT calculation (GGA-PBE) of crystalline Li7BiB2O8 at its relaxed geometry.

Output
DFT formation energy   -2.30 eV per atom
Final energy   -0.21657 hartree per atom
Space group   C2/m, No. 12
Total energy after the MP2020 corrections   -6.20 eV per atom
ρ   3.80 g/cm³

Cell: 8.041 8.041 7.539 Å, 89.10 89.10 46.92°
Sites, in units of the cell vectors:
1 O 0.050 0.050 0.756
2 O 0.868 0.868 0.964
3 O 0.000 0.389 0.772
4 O 0.132 0.132 0.036
5 O 0.808 0.418 0.372
6 O 0.418 0.808 0.372
7 O 0.000 0.611 0.228
8 O 0.382 0.382 0.908
9 O 0.524 0.524 0.740
10 O 0.192 0.582 0.628
11 O 0.582 0.192 0.628
12 O 0.950 0.950 0.244
13 O 0.618 0.618 0.092
14 O 0.476 0.476 0.260
15 O 0.389 0.000 0.772
16 O 0.611 0.000 0.228
17 Li 0.674 0.187 0.369
18 Li 0.357 0.357 0.150
19 Li 0.075 0.075 0.277
20 Li 0.500 0.500 0.000
21 Li 0.068 0.569 0.874
22 Li 0.643 0.643 0.850
23 Li 0.187 0.674 0.369
24 Li 0.932 0.431 0.126
25 Li 0.813 0.326 0.631
26 Li 0.000 0.000 0.000
27 Li 0.431 0.932 0.126
28 Li 0.326 0.813 0.631
29 Li 0.569 0.068 0.874
30 Li 0.925 0.925 0.723
31 B 0.862 0.862 0.155
32 B 0.573 0.573 0.265
33 B 0.138 0.138 0.845
34 B 0.427 0.427 0.735
35 Bi 0.265 0.265 0.564
36 Bi 0.735 0.735 0.436

=====

[2]
The following is a DFT calculation (GGA-PBE) of crystalline LiBiB2O5 at its relaxed geometry.

Output
DFT formation energy   -2.40 eV per atom
Final energy   -0.25347 hartree per atom
Space group   P2_1/c, No. 14
Total energy after the MP2020 corrections   -7.28 eV per atom
Excess energy over the best structure of this formula in the dataset   0.398 eV per formula unit
ρ   4.75 g/cm³

Cell: 10.031 6.459 7.325 Å, 69.25 90.00 90.00°
Sites, in units of the cell vectors:
1 B 0.093 0.763 0.541
2 B 0.355 0.227 0.889
3 B 0.145 0.727 0.889
4 B 0.907 0.237 0.459
5 B 0.855 0.273 0.111
6 B 0.593 0.737 0.459
7 B 0.645 0.773 0.111
8 B 0.407 0.263 0.541
9 Bi 0.951 0.769 0.232
10 Bi 0.451 0.731 0.768
11 Bi 0.049 0.231 0.768
12 Bi 0.549 0.269 0.232
13 O 0.646 0.712 0.639
14 O 0.180 0.734 0.698
15 O 0.456 0.759 0.439
16 O 0.956 0.741 0.561
17 O 0.458 0.369 0.901
18 O 0.854 0.212 0.639
19 O 0.790 0.405 0.957
20 O 0.210 0.595 0.043
21 O 0.542 0.631 0.099
22 O 0.290 0.095 0.043
23 O 0.958 0.131 0.099
24 O 0.320 0.234 0.698
25 O 0.354 0.288 0.361
26 O 0.820 0.266 0.302
27 O 0.544 0.241 0.561
28 O 0.680 0.766 0.302
29 O 0.710 0.905 0.957
30 O 0.042 0.869 0.901
31 O 0.146 0.788 0.361
32 O 0.044 0.259 0.439
33 Li 0.804 0.716 0.777
34 Li 0.696 0.216 0.777
35 Li 0.196 0.284 0.223
36 Li 0.304 0.784 0.223

=====

[3]
The following is a DFT calculation (GGA-PBE) of crystalline Li2Bi5B3O13 at its relaxed geometry.

Output
DFT formation energy   -2.13 eV per atom
Final energy   -0.23606 hartree per atom
Space group   P2_1/m, No. 11
Total energy after the MP2020 corrections   -6.81 eV per atom
ρ   6.75 g/cm³

Cell: 3.730 10.760 16.397 Å, 76.20 90.00 90.00°
Sites, in units of the cell vectors:
1 O 0.250 0.089 0.415
2 O 0.750 0.083 0.941
3 O 0.750 0.911 0.585
4 O 0.250 0.603 0.296
5 O 0.250 0.917 0.059
6 O 0.250 0.239 0.503
7 O 0.250 0.040 0.802
8 O 0.250 0.856 0.744
9 O 0.750 0.176 0.106
10 O 0.750 0.397 0.704
11 O 0.750 0.515 0.431
12 O 0.750 0.761 0.497
13 O 0.250 0.293 0.863
14 O 0.750 0.707 0.137
15 O 0.250 0.861 0.338
16 O 0.750 0.687 0.650
17 O 0.750 0.618 0.016
18 O 0.750 0.474 0.153
19 O 0.750 0.144 0.256
20 O 0.250 0.485 0.569
21 O 0.750 0.960 0.198
22 O 0.250 0.382 0.984
23 O 0.750 0.139 0.662
24 O 0.250 0.526 0.847
25 O 0.250 0.824 0.894
26 O 0.250 0.313 0.350
27 Bi 0.250 0.641 0.438
28 Bi 0.250 0.148 0.006
29 Bi 0.250 0.034 0.624
30 Bi 0.750 0.852 0.994
31 Bi 0.750 0.359 0.562
32 Bi 0.750 0.471 0.298
33 Bi 0.250 0.529 0.702
34 Bi 0.750 0.966 0.376
35 Bi 0.250 0.817 0.200
36 Bi 0.750 0.183 0.800
37 B 0.750 0.785 0.577
38 B 0.250 0.215 0.423
39 B 0.250 0.405 0.897
40 B 0.750 0.095 0.184
41 B 0.750 0.595 0.103
42 B 0.250 0.905 0.816
43 Li 0.250 0.213 0.268
44 Li 0.250 0.610 0.945
45 Li 0.750 0.787 0.732
46 Li 0.750 0.390 0.055